Version P
Entry from the Materials Project: crystalline SrAl2Si2O8 at its relaxed geometry (GGA-PBE).

a = 10.2545 Å, b = 9.8776 Å, c = 9.8775 Å
α = 73.80°, β = 76.62°, γ = 76.63°
With the nearest neighbours (Å) after each atom.
Element x y z (fractional)
O1 0.3044 0.9207 0.7786  1 Si 1.64, 1 Al 1.77
O2 0.0995 0.3234 0.3748  1 Si 1.69, 1 Al 1.72
O3 0.6316 0.1347 0.5417  1 Si 1.58
O4 0.4466 0.1830 0.1175  1 Si 1.66, 1 Al 1.78
O5 0.3684 0.8653 0.4583  1 Si 1.58
O6 0.4005 0.6252 0.6766  1 Si 1.69, 1 Al 1.72
O7 0.4247 0.3619 0.5690  1 Si 1.67, 1 Al 1.69
O8 0.3011 0.8397 0.0710  1 O 1.49
O9 0.6989 0.1603 0.9290  1 O 1.49
O10 0.8043 0.7786 0.9207  1 Si 1.64, 1 Al 1.77
O11 0.1369 0.1141 0.6125  1 Si 1.65, 1 Al 1.72
O12 0.0534 0.8825 0.8170  1 Si 1.66, 1 Al 1.78
O13 0.1989 0.9290 0.1603  1 O 1.49
O14 0.6368 0.6125 0.1141  1 Si 1.65, 1 Al 1.72
O15 0.1315 0.5418 0.1347  1 Si 1.58
O16 0.6956 0.0793 0.2214  1 Si 1.64, 1 Al 1.77
O17 0.5753 0.6381 0.4310  1 Si 1.67, 1 Al 1.69
O18 0.9005 0.6766 0.6252  1 Si 1.69, 1 Al 1.72
O19 0.5970 0.8901 0.1054  1 Si 1.62, 1 Al 1.73
O20 0.5534 0.8170 0.8825  1 Si 1.66, 1 Al 1.78
O21 0.4030 0.1099 0.8946  1 Si 1.62, 1 Al 1.73
O22 0.8631 0.8859 0.3875  1 Si 1.65, 1 Al 1.72
O23 0.5995 0.3748 0.3234  1 Si 1.69, 1 Al 1.72
O24 0.0970 0.1054 0.8901  1 Si 1.62, 1 Al 1.73
O25 0.0753 0.4310 0.6381  1 Si 1.67, 1 Al 1.69
O26 0.9247 0.5690 0.3619  1 Si 1.67, 1 Al 1.69
O27 0.9030 0.8946 0.1099  1 Si 1.62, 1 Al 1.73
O28 0.9466 0.1175 0.1830  1 Si 1.66, 1 Al 1.78
O29 0.8685 0.4582 0.8653  1 Si 1.58
O30 0.8011 0.0710 0.8397  1 O 1.49
O31 0.3632 0.3875 0.8859  1 Si 1.65, 1 Al 1.72
O32 0.1957 0.2214 0.0793  1 Si 1.64, 1 Al 1.77
Sr1 0.7365 0.9218 0.6665  1 O 2.28
Sr2 0.7635 0.3335 0.0782  1 O 2.28
Sr3 0.2365 0.6665 0.9218  1 O 2.28
Sr4 0.2635 0.0782 0.3335  1 O 2.28
Al1 0.3942 0.9340 0.9060  4 O 1.73-1.81
Al2 0.5962 0.5553 0.2975  3 O 1.69-1.72
Al3 0.6058 0.0660 0.0940  4 O 1.73-1.81
Al4 0.4038 0.4447 0.7025  3 O 1.69-1.72
Al5 0.9038 0.7025 0.4447  3 O 1.69-1.72
Al6 0.1058 0.0940 0.0660  4 O 1.73-1.81
Al7 0.8942 0.9060 0.9340  4 O 1.73-1.81
Al8 0.0962 0.2975 0.5553  3 O 1.69-1.72
Si1 0.4740 0.7412 0.5351  3 O 1.58-1.69
Si2 0.3514 0.2269 0.9918  4 O 1.62-1.66
Si3 0.8514 0.9918 0.2269  4 O 1.62-1.66
Si4 0.9740 0.5351 0.7412  3 O 1.58-1.69
Si5 0.1486 0.0082 0.7731  4 O 1.62-1.66
Si6 0.6486 0.7731 0.0082  4 O 1.62-1.66
Si7 0.5260 0.2588 0.4649  3 O 1.58-1.69
Si8 0.0260 0.4649 0.2588  3 O 1.58-1.69

---

Version Q
Entry from the Materials Project: crystalline SrAl2Si2O8 at its relaxed geometry (GGA-PBE).

a = 9.4981 Å, b = 9.4981 Å, c = 10.5448 Å
α = 78.60°, β = 78.60°, γ = 80.30°
With the nearest neighbours (Å) after each atom.
Element x y z (fractional)
O1 0.1852 0.1225 0.9621  1 Si 1.66, 1 Al 1.77
O2 0.3103 0.3718 0.6252  1 Si 1.69, 1 Al 1.72
O3 0.8840 0.1296 0.0775  1 Si 1.63, 1 Al 1.73
O4 0.5679 0.3515 0.4661  1 Si 1.67, 1 Al 1.68
O5 0.8775 0.8148 0.5379  1 Si 1.66, 1 Al 1.77
O6 0.1225 0.1852 0.4621  1 Si 1.66, 1 Al 1.77
O7 0.4683 0.8368 0.3030  1 Si 1.59
O8 0.8148 0.8775 0.0379  1 Si 1.66, 1 Al 1.77
O9 0.8960 0.3913 0.3873  1 Si 1.65, 1 Al 1.72
O10 0.0718 0.2176 0.2239  1 Si 1.65, 1 Al 1.75
O11 0.6897 0.6282 0.3748  1 Si 1.69, 1 Al 1.72
O12 0.8704 0.1160 0.4225  1 Si 1.63, 1 Al 1.73
O13 0.2176 0.0718 0.7239  1 Si 1.65, 1 Al 1.75
O14 0.3913 0.8960 0.8873  1 Si 1.65, 1 Al 1.72
O15 0.8368 0.4683 0.8030  1 Si 1.59
O16 0.1333 0.9307 0.1820  1 O 1.49
O17 0.9307 0.1333 0.6820  1 O 1.49
O18 0.3515 0.5679 0.9661  1 Si 1.67, 1 Al 1.68
O19 0.1160 0.8704 0.9225  1 Si 1.63, 1 Al 1.73
O20 0.1040 0.6087 0.6127  1 Si 1.65, 1 Al 1.72
O21 0.4321 0.6485 0.5339  1 Si 1.67, 1 Al 1.68
O22 0.8667 0.0693 0.8180  1 O 1.49
O23 0.3718 0.3103 0.1252  1 Si 1.69, 1 Al 1.72
O24 0.1296 0.8840 0.5775  1 Si 1.63, 1 Al 1.73
O25 0.6485 0.4321 0.0339  1 Si 1.67, 1 Al 1.68
O26 0.6087 0.1040 0.1127  1 Si 1.65, 1 Al 1.72
O27 0.5317 0.1632 0.6970  1 Si 1.59
O28 0.9282 0.7824 0.7761  1 Si 1.65, 1 Al 1.75
O29 0.1632 0.5317 0.1970  1 Si 1.59
O30 0.6282 0.6897 0.8748  1 Si 1.69, 1 Al 1.72
O31 0.7824 0.9282 0.2761  1 Si 1.65, 1 Al 1.75
O32 0.0693 0.8667 0.3180  1 O 1.49
Si1 0.4573 0.2535 0.5786  3 O 1.59-1.69
Si2 0.5427 0.7465 0.4214  3 O 1.59-1.69
Si3 0.2535 0.4573 0.0786  3 O 1.59-1.69
Si4 0.2298 0.9887 0.8749  4 O 1.63-1.66
Si5 0.9887 0.2298 0.3749  4 O 1.63-1.66
Si6 0.7465 0.5427 0.9214  3 O 1.59-1.69
Si7 0.0113 0.7702 0.6251  4 O 1.63-1.66
Si8 0.7702 0.0113 0.1251  4 O 1.63-1.66
Al1 0.0585 0.1107 0.1100  4 O 1.73-1.82
Al2 0.5569 0.2880 0.0746  3 O 1.68-1.72
Al3 0.9415 0.8893 0.8900  4 O 1.73-1.82
Al4 0.2880 0.5569 0.5746  3 O 1.68-1.72
Al5 0.1107 0.0585 0.6100  4 O 1.73-1.82
Al6 0.7120 0.4431 0.4254  3 O 1.68-1.72
Al7 0.8893 0.9415 0.3900  4 O 1.73-1.82
Al8 0.4431 0.7120 0.9254  3 O 1.68-1.72
Sr1 0.0537 0.3186 0.7759  1 O 2.30
Sr2 0.9463 0.6814 0.2241  1 O 2.30
Sr3 0.3186 0.0537 0.2759  1 O 2.30
Sr4 0.6814 0.9463 0.7241  1 O 2.30

---

version P has the most favorable energy; the next structure is 19 meV per atom above.

---

Version P
Entry from the Materials Project: crystalline SrAl2Si2O8 at its relaxed geometry (GGA-PBE).

a = 9.3196 Å, b = 9.3196 Å, c = 8.4413 Å
α = 82.98°, β = 82.98°, γ = 89.60°
With the nearest neighbours (Å) after each atom.
Element x y z (fractional)
O1 0.5848 0.6799 0.1087  1 Si 1.63, 1 Al 1.76
O2 0.9848 0.7351 0.6948  1 Si 1.64, 1 Al 1.76
O3 0.4810 0.2301 0.2204  1 Si 1.63, 1 Al 1.76
O4 0.2649 0.0152 0.8052  1 Si 1.64, 1 Al 1.76
O5 0.6799 0.5848 0.6087  1 Si 1.63, 1 Al 1.76
O6 0.0595 0.1774 0.6154  1 Si 1.63, 1 Al 1.74
O7 0.8548 0.3555 0.5572  1 Si 1.66, 1 Al 1.77
O8 0.3201 0.4152 0.3913  1 Si 1.63, 1 Al 1.76
O9 0.6288 0.8711 0.4962  1 Si 1.66, 1 Al 1.78
O10 0.3225 0.5692 0.9911  1 Si 1.64, 1 Al 1.75
O11 0.9144 0.1777 0.0069  1 Si 1.64, 1 Al 1.77
O12 0.8226 0.9405 0.8846  1 Si 1.63, 1 Al 1.74
O13 0.3712 0.1289 0.5038  1 Si 1.66, 1 Al 1.78
O14 0.0152 0.2649 0.3052  1 Si 1.64, 1 Al 1.76
O15 0.1452 0.6445 0.4428  1 Si 1.66, 1 Al 1.77
O16 0.4152 0.3201 0.8913  1 Si 1.63, 1 Al 1.76
O17 0.2301 0.4810 0.7204  1 Si 1.63, 1 Al 1.76
O18 0.6775 0.4308 0.0089  1 Si 1.64, 1 Al 1.75
O19 0.6445 0.1452 0.9428  1 Si 1.66, 1 Al 1.77
O20 0.3555 0.8548 0.0572  1 Si 1.66, 1 Al 1.77
O21 0.4308 0.6775 0.5089  1 Si 1.64, 1 Al 1.75
O22 0.8223 0.0856 0.4931  1 Si 1.64, 1 Al 1.77
O23 0.8711 0.6288 0.9962  1 Si 1.66, 1 Al 1.78
O24 0.9405 0.8226 0.3846  1 Si 1.63, 1 Al 1.74
O25 0.7351 0.9848 0.1948  1 Si 1.64, 1 Al 1.76
O26 0.7699 0.5190 0.2796  1 Si 1.63, 1 Al 1.76
O27 0.1289 0.3712 0.0038  1 Si 1.66, 1 Al 1.78
O28 0.5190 0.7699 0.7796  1 Si 1.63, 1 Al 1.76
O29 0.1777 0.9144 0.5069  1 Si 1.64, 1 Al 1.77
O30 0.5692 0.3225 0.4911  1 Si 1.64, 1 Al 1.75
O31 0.1774 0.0595 0.1154  1 Si 1.63, 1 Al 1.74
O32 0.0856 0.8223 0.9931  1 Si 1.64, 1 Al 1.77
Si1 0.5664 0.7181 0.6030  4 O 1.63-1.66
Si2 0.0591 0.7850 0.5106  4 O 1.63-1.66
Si3 0.2150 0.9409 0.9894  4 O 1.63-1.66
Si4 0.2819 0.4336 0.8970  4 O 1.63-1.66
Si5 0.7850 0.0591 0.0106  4 O 1.63-1.66
Si6 0.9409 0.2150 0.4894  4 O 1.63-1.66
Si7 0.7181 0.5664 0.1030  4 O 1.63-1.66
Si8 0.4336 0.2819 0.3970  4 O 1.63-1.66
Sr1 0.0643 0.5670 0.2005  3 O 2.45-2.66
Sr2 0.9357 0.4330 0.7995  3 O 2.45-2.66
Sr3 0.4330 0.9357 0.2995  3 O 2.45-2.66
Sr4 0.5670 0.0643 0.7005  3 O 2.45-2.66
Al1 0.4505 0.7085 0.9792  4 O 1.75-1.77
Al2 0.2915 0.5495 0.5208  4 O 1.75-1.77
Al3 0.0602 0.2061 0.1157  4 O 1.74-1.78
Al4 0.2061 0.0602 0.6157  4 O 1.74-1.78
Al5 0.7939 0.9398 0.3843  4 O 1.74-1.78
Al6 0.5495 0.2915 0.0208  4 O 1.75-1.77
Al7 0.7085 0.4505 0.4792  4 O 1.75-1.77
Al8 0.9398 0.7939 0.8843  4 O 1.74-1.78

---

Version Q
Entry from the Materials Project: crystalline SrAl2Si2O8 at its relaxed geometry (GGA-PBE).

a = 9.3851 Å, b = 9.3851 Å, c = 9.6497 Å
α = 81.06°, β = 81.06°, γ = 74.48°
With the nearest neighbours (Å) after each atom.
Element x y z (fractional)
O1 0.8480 0.8434 0.0417  1 Si 1.66, 1 Al 1.77
O2 0.9206 0.3958 0.9584  1 Si 1.65, 1 Al 1.79
O3 0.6253 0.6870 0.4044  1 Si 1.65, 1 Al 1.79
O4 0.3934 0.6370 0.9417  1 Si 1.61, 1 Al 1.72
O5 0.3958 0.9206 0.4584  1 Si 1.65, 1 Al 1.79
O6 0.8725 0.0300 0.2849  1 O 1.48
O7 0.0794 0.6042 0.0416  1 Si 1.65, 1 Al 1.79
O8 0.6370 0.3934 0.4417  1 Si 1.61, 1 Al 1.72
O9 0.7199 0.9597 0.7843  1 Si 1.65, 1 Al 1.78
O10 0.0300 0.8725 0.7849  1 O 1.48
O11 0.1275 0.9700 0.7151  1 O 1.48
O12 0.6870 0.6253 0.9044  1 Si 1.65, 1 Al 1.79
O13 0.6042 0.0794 0.5416  1 Si 1.65, 1 Al 1.79
O14 0.6066 0.3630 0.0583  1 Si 1.61, 1 Al 1.72
O15 0.8600 0.1233 0.5870  1 Si 1.62, 1 Al 1.71
O16 0.9700 0.1275 0.2151  1 O 1.48
O17 0.1400 0.8767 0.4130  1 Si 1.62, 1 Al 1.71
O18 0.1566 0.1520 0.4583  1 Si 1.66, 1 Al 1.77
O19 0.5146 0.7675 0.6970  1 Si 1.64, 1 Al 1.77
O20 0.0403 0.2801 0.7157  1 Si 1.65, 1 Al 1.78
O21 0.2801 0.0403 0.2157  1 Si 1.65, 1 Al 1.78
O22 0.3747 0.3130 0.5956  1 Si 1.65, 1 Al 1.79
O23 0.3130 0.3747 0.0956  1 Si 1.65, 1 Al 1.79
O24 0.1520 0.1566 0.9583  1 Si 1.66, 1 Al 1.77
O25 0.3630 0.6066 0.5583  1 Si 1.61, 1 Al 1.72
O26 0.2325 0.4854 0.8030  1 Si 1.64, 1 Al 1.77
O27 0.8767 0.1400 0.9130  1 Si 1.62, 1 Al 1.71
O28 0.7675 0.5146 0.1970  1 Si 1.64, 1 Al 1.77
O29 0.1233 0.8600 0.0870  1 Si 1.62, 1 Al 1.71
O30 0.4854 0.2325 0.3030  1 Si 1.64, 1 Al 1.77
O31 0.9597 0.7199 0.2843  1 Si 1.65, 1 Al 1.78
O32 0.8434 0.8480 0.5417  1 Si 1.66, 1 Al 1.77
Si1 0.2797 0.4803 0.6326  3 O 1.61-1.65
Si2 0.2405 0.9967 0.3868  4 O 1.62-1.66
Si3 0.5197 0.7203 0.8674  3 O 1.61-1.65
Si4 0.4803 0.2797 0.1326  3 O 1.61-1.65
Si5 0.7595 0.0033 0.6132  4 O 1.62-1.66
Si6 0.7203 0.5197 0.3674  3 O 1.61-1.65
Si7 0.9967 0.2405 0.8868  4 O 1.62-1.66
Si8 0.0033 0.7595 0.1132  4 O 1.62-1.66
Al1 0.9698 0.8586 0.3861  4 O 1.71-1.84
Al2 0.1414 0.0302 0.1139  4 O 1.71-1.84
Al3 0.0302 0.1414 0.6139  4 O 1.71-1.84
Al4 0.2658 0.5310 0.9643  4 O 1.72-1.79
Al5 0.7342 0.4690 0.0357  4 O 1.72-1.79
Al6 0.8586 0.9698 0.8861  4 O 1.71-1.84
Al7 0.4690 0.7342 0.5357  4 O 1.72-1.79
Al8 0.5310 0.2658 0.4643  4 O 1.72-1.79
Sr1 0.0512 0.3660 0.2222  4 O 2.56-2.68
Sr2 0.9488 0.6340 0.7778  4 O 2.56-2.68
Sr3 0.6340 0.9488 0.2778  4 O 2.56-2.68
Sr4 0.3660 0.0512 0.7222  4 O 2.56-2.68

---

version P has the most favorable energy; the next structure is 757 meV per atom above.